[1]
Material: PrGaNi
Method: DFT, PBE-GGA
State: optimized geometry

Cell: 7.1161 4.3732 7.5184 Å, 90.00 90.00 90.00°
Sites, in units of the cell vectors:
Pr 0.0225 0.2500 0.1997
Pr 0.4775 0.7500 0.6997
Pr 0.5225 0.2500 0.3003
Pr 0.9775 0.7500 0.8003
Ga 0.1787 0.2500 0.5802
Ga 0.3213 0.7500 0.0802
Ga 0.6787 0.2500 0.9198
Ga 0.8213 0.7500 0.4198
Ni 0.2016 0.7500 0.4101
Ni 0.2984 0.2500 0.9101
Ni 0.7016 0.7500 0.0899
Ni 0.7984 0.2500 0.5899

## Properties
Its space-group type is No. 62. The calculation puts the total energy at -5.065 eV per atom.

[2]
Material: Ho2Ge4Pd
Method: DFT, PBE-GGA
State: optimized geometry

Cell: 4.0873 8.6646 8.6646 Å, 27.52 90.00 90.00°
Sites, in units of the cell vectors:
Ho 0.0000 0.0000 0.0000
Ho 0.5000 0.2053 0.2053
Ge 0.0000 0.3722 0.3722
Ge 0.0000 0.6409 0.6409
Ge 0.5000 0.5482 0.5482
Ge 0.5000 0.8694 0.8694
Pd 0.0000 0.7856 0.7856

## Properties
Its space-group type is No. 38. The calculation puts the total energy at -5.344 eV per atom.

[3]
Material: CsK2TlF6
Method: DFT, PBE-GGA
State: optimized geometry

Cell: 7.0162 7.0162 7.0162 Å, 60.00 60.00 60.00°
Sites, in units of the cell vectors:
Cs 0.0000 0.0000 0.0000
K 0.2500 0.2500 0.2500
K 0.7500 0.7500 0.7500
Tl 0.5000 0.5000 0.5000
F 0.2789 0.2789 0.7211
F 0.2789 0.7211 0.2789
F 0.2789 0.7211 0.7211
F 0.7211 0.2789 0.2789
F 0.7211 0.2789 0.7211
F 0.7211 0.7211 0.2789

## Properties
Its space-group type is No. 225. The calculation puts the total energy at -4.006 eV per atom.

[4]
Material: Li4VS4
Method: DFT, PBE-GGA
State: optimized geometry

Cell: 14.2496 7.7586 6.1539 Å, 90.00 90.00 90.00°
Sites, in units of the cell vectors:
Li 0.0000 0.0000 0.0000
Li 0.0000 0.5000 0.0000
Li 0.0868 0.2500 0.3696
Li 0.1779 0.0018 0.8044
Li 0.1779 0.4982 0.8044
Li 0.3221 0.5018 0.3044
Li 0.3221 0.9982 0.3044
Li 0.4132 0.7500 0.8696
Li 0.5000 0.0000 0.5000
Li 0.5000 0.5000 0.5000
Li 0.5868 0.2500 0.1304
Li 0.6779 0.0018 0.6956
Li 0.6779 0.4982 0.6956
Li 0.8221 0.5018 0.1956
Li 0.8221 0.9982 0.1956
Li 0.9132 0.7500 0.6304
V 0.0871 0.7500 0.3489
V 0.4129 0.2500 0.8489
V 0.5871 0.7500 0.1511
V 0.9129 0.2500 0.6511
S 0.0624 0.2500 0.7656
S 0.0824 0.7500 0.7090
S 0.1559 0.5141 0.2185
S 0.1559 0.9859 0.2185
S 0.3441 0.0141 0.7185
S 0.3441 0.4859 0.7185
S 0.4176 0.2500 0.2090
S 0.4376 0.7500 0.2656
S 0.5624 0.2500 0.7344
S 0.5824 0.7500 0.7910
S 0.6559 0.5141 0.2815
S 0.6559 0.9859 0.2815
S 0.8441 0.0141 0.7815
S 0.8441 0.4859 0.7815
S 0.9176 0.2500 0.2910
S 0.9376 0.7500 0.2344

## Properties
Its space-group type is No. 62. The calculation puts the total energy at -4.834 eV per atom.

[5]
Material: Li7RuN4
Method: DFT, PBE-GGA
State: optimized geometry

Cell: 9.7688 9.7688 9.7688 Å, 90.00 90.00 90.00°
Sites, in units of the cell vectors:
Li 0.0000 0.0000 0.2634
Li 0.0000 0.0000 0.5000
Li 0.0000 0.0000 0.7366
Li 0.0000 0.2500 0.5000
Li 0.0000 0.2634 0.0000
Li 0.0000 0.5000 0.0000
Li 0.0000 0.5000 0.5000
Li 0.0000 0.7366 0.0000
Li 0.0000 0.7500 0.5000
Li 0.0169 0.2382 0.7480
Li 0.0169 0.7618 0.2520
Li 0.2345 0.2345 0.2345
Li 0.2345 0.7655 0.7655
Li 0.2366 0.5000 0.5000
Li 0.2382 0.2520 0.9831
Li 0.2382 0.7480 0.0169
Li 0.2480 0.2618 0.4831
Li 0.2480 0.7382 0.5169
Li 0.2500 0.5000 0.0000
Li 0.2520 0.0169 0.7618
Li 0.2520 0.9831 0.2382
Li 0.2618 0.4831 0.2480
Li 0.2618 0.5169 0.7520
Li 0.2634 0.0000 0.0000
Li 0.2655 0.2655 0.7345
Li 0.2655 0.7345 0.2655
Li 0.4831 0.2480 0.2618
Li 0.4831 0.7520 0.7382
Li 0.5000 0.0000 0.0000
Li 0.5000 0.0000 0.2500
Li 0.5000 0.0000 0.5000
Li 0.5000 0.0000 0.7500
Li 0.5000 0.2366 0.5000
Li 0.5000 0.5000 0.0000
Li 0.5000 0.5000 0.2366
Li 0.5000 0.5000 0.7634
Li 0.5000 0.7634 0.5000
Li 0.5169 0.2480 0.7382
Li 0.5169 0.7520 0.2618
Li 0.7345 0.2655 0.2655
Li 0.7345 0.7345 0.7345
Li 0.7366 0.0000 0.0000
Li 0.7382 0.4831 0.7520
Li 0.7382 0.5169 0.2480
Li 0.7480 0.0169 0.2382
Li 0.7480 0.9831 0.7618
Li 0.7500 0.5000 0.0000
Li 0.7520 0.2618 0.5169
Li 0.7520 0.7382 0.4831
Li 0.7618 0.2520 0.0169
Li 0.7618 0.7480 0.9831
Li 0.7634 0.5000 0.5000
Li 0.7655 0.2345 0.7655
Li 0.7655 0.7655 0.2345
Li 0.9831 0.2382 0.2520
Li 0.9831 0.7618 0.7480
Ru 0.0000 0.0000 0.0000
Ru 0.0000 0.5000 0.2500
Ru 0.0000 0.5000 0.7500
Ru 0.2500 0.0000 0.5000
Ru 0.5000 0.2500 0.0000
Ru 0.5000 0.5000 0.5000
Ru 0.5000 0.7500 0.0000
Ru 0.7500 0.0000 0.5000
N 0.1134 0.3786 0.3617
N 0.1134 0.6214 0.6383
N 0.1142 0.1142 0.1142
N 0.1142 0.8858 0.8858
N 0.1214 0.3866 0.8617
N 0.1214 0.6134 0.1383
N 0.1383 0.1214 0.6134
N 0.1383 0.8786 0.3866
N 0.3617 0.1134 0.3786
N 0.3617 0.8866 0.6214
N 0.3786 0.3617 0.1134
N 0.3786 0.6383 0.8866
N 0.3858 0.3858 0.6142
N 0.3858 0.6142 0.3858
N 0.3866 0.1383 0.8786
N 0.3866 0.8617 0.1214
N 0.6134 0.1383 0.1214
N 0.6134 0.8617 0.8786
N 0.6142 0.3858 0.3858
N 0.6142 0.6142 0.6142
N 0.6214 0.3617 0.8866
N 0.6214 0.6383 0.1134
N 0.6383 0.1134 0.6214
N 0.6383 0.8866 0.3786
N 0.8617 0.1214 0.3866
N 0.8617 0.8786 0.6134
N 0.8786 0.3866 0.1383
N 0.8786 0.6134 0.8617
N 0.8858 0.1142 0.8858
N 0.8858 0.8858 0.1142
N 0.8866 0.3786 0.6383
N 0.8866 0.6214 0.3617

## Properties
Its space-group type is No. 218. The calculation puts the total energy at -5.006 eV per atom.

[6]
Material: Al4P3H3O15
Method: DFT, PBE-GGA
State: optimized geometry

Cell: 10.2763 10.2763 7.2454 Å, 101.48 101.48 41.09°
Sites, in units of the cell vectors:
Al 0.1534 0.6955 0.8407
Al 0.3045 0.8466 0.6593
Al 0.3254 0.3397 0.1518
Al 0.3397 0.3254 0.6518
Al 0.6603 0.6746 0.3482
Al 0.6746 0.6603 0.8482
Al 0.6955 0.1534 0.3407
Al 0.8466 0.3045 0.1593
P 0.0366 0.3010 0.5882
P 0.3010 0.0366 0.0882
P 0.3825 0.6175 0.2500
P 0.6175 0.3825 0.7500
P 0.6990 0.9634 0.9118
P 0.9634 0.6990 0.4118
H 0.0024 0.9976 0.7500
H 0.0909 0.5087 0.8880
H 0.4913 0.9091 0.6120
H 0.5087 0.0909 0.3880
H 0.9091 0.4913 0.1120
H 0.9976 0.0024 0.2500
O 0.0826 0.5538 0.2423
O 0.1016 0.1229 0.1023
O 0.1117 0.6038 0.5943
O 0.1229 0.1016 0.6023
O 0.1383 0.8617 0.7500
O 0.2020 0.2743 0.5715
O 0.2195 0.4598 0.9074
O 0.2406 0.7183 0.0768
O 0.2743 0.2020 0.0715
O 0.2817 0.7594 0.4232
O 0.3962 0.8883 0.9057
O 0.4233 0.4479 0.7582
O 0.4462 0.9174 0.2577
O 0.4479 0.4233 0.2582
O 0.4598 0.2195 0.4074
O 0.5402 0.7805 0.5926
O 0.5521 0.5767 0.7418
O 0.5538 0.0826 0.7423
O 0.5767 0.5521 0.2418
O 0.6038 0.1117 0.0943
O 0.7183 0.2406 0.5768
O 0.7257 0.7980 0.9285
O 0.7594 0.2817 0.9232
O 0.7805 0.5402 0.0926
O 0.7980 0.7257 0.4285
O 0.8617 0.1383 0.2500
O 0.8771 0.8984 0.3977
O 0.8883 0.3962 0.4057
O 0.8984 0.8771 0.8977
O 0.9174 0.4462 0.7577

## Properties
Its space-group type is No. 15. The calculation puts the total energy at -7.010 eV per atom.

[7]
Material: DyAl10Re2
Method: DFT, PBE-GGA
State: optimized geometry

Cell: 6.9706 6.9706 18.0405 Å, 90.00 90.00 96.15°
Sites, in units of the cell vectors:
Dy 0.0000 0.0000 0.0000
Dy 0.0000 0.0000 0.5000
Dy 0.2576 0.7424 0.7500
Dy 0.7424 0.2576 0.2500
Al 0.0000 0.5000 0.0000
Al 0.0000 0.5000 0.5000
Al 0.0327 0.9673 0.1742
Al 0.0327 0.9673 0.3258
Al 0.0888 0.6139 0.2500
Al 0.0920 0.3484 0.1314
Al 0.0920 0.3484 0.3686
Al 0.2480 0.7520 0.0927
Al 0.2480 0.7520 0.4073
Al 0.2721 0.2982 0.7500
Al 0.2815 0.7185 0.5746
Al 0.2815 0.7185 0.9254
Al 0.2982 0.2721 0.2500
Al 0.3484 0.0920 0.6314
Al 0.3484 0.0920 0.8686
Al 0.3510 0.3510 0.0000
Al 0.3510 0.3510 0.5000
Al 0.3861 0.9112 0.2500
Al 0.4944 0.5056 0.1428
Al 0.4944 0.5056 0.3572
Al 0.5000 0.0000 0.0000
Al 0.5000 0.0000 0.5000
Al 0.5056 0.4944 0.6428
Al 0.5056 0.4944 0.8572
Al 0.6139 0.0888 0.7500
Al 0.6490 0.6490 0.0000
Al 0.6490 0.6490 0.5000
Al 0.6516 0.9080 0.1314
Al 0.6516 0.9080 0.3686
Al 0.7018 0.7279 0.7500
Al 0.7185 0.2815 0.0746
Al 0.7185 0.2815 0.4254
Al 0.7279 0.7018 0.2500
Al 0.7520 0.2480 0.5927
Al 0.7520 0.2480 0.9073
Al 0.9080 0.6516 0.6314
Al 0.9080 0.6516 0.8686
Al 0.9112 0.3861 0.7500
Al 0.9673 0.0327 0.6742
Al 0.9673 0.0327 0.8258
Re 0.1302 0.3737 0.6208
Re 0.1302 0.3737 0.8792
Re 0.3737 0.1302 0.1208
Re 0.3737 0.1302 0.3792
Re 0.6263 0.8698 0.6208
Re 0.6263 0.8698 0.8792
Re 0.8698 0.6263 0.1208
Re 0.8698 0.6263 0.3792

## Properties
Its space-group type is No. 63. The calculation puts the total energy at -5.505 eV per atom.

[8]
Material: NaNb2Si2PO12
Method: DFT, PBE-GGA
State: optimized geometry

Cell: 8.8774 8.8774 22.9903 Å, 89.78 90.22 119.93°
Sites, in units of the cell vectors:
O 0.8331 0.3077 0.5263
O 0.8032 0.8343 0.1930
Na 0.9987 0.0009 0.9999
O 0.5030 0.6377 0.5766
O 0.8604 0.4996 0.1405
Nb 0.0000 0.9973 0.8551
Si 0.0001 0.7126 0.7500
O 0.6428 0.1469 0.4236
O 0.1628 0.1868 0.4092
O 0.3021 0.8247 0.2575
O 0.8324 0.5301 0.0263
Nb 0.3334 0.6640 0.5218
O 0.9701 0.8041 0.8071
O 0.9717 0.1728 0.3047
Na 0.3320 0.6676 0.6665
O 0.8626 0.3632 0.6405
Si 0.3334 0.3792 0.4167
O 0.3623 0.4970 0.0766
Si 0.6668 0.0459 0.0834
O 0.1607 0.4692 0.2575
O 0.3050 0.8394 0.9713
Si 0.2892 0.2868 0.7504
O 0.5086 0.3646 0.4241
O 0.4941 0.1359 0.9242
O 0.6368 0.1374 0.1405
Nb 0.6615 0.3249 0.4781
Nb 0.0084 0.0052 0.6447
O 0.8363 0.3044 0.2433
O 0.1697 0.9710 0.9099
P 0.0470 0.6653 0.4164
Si 0.7132 0.7108 0.2504
Na 0.9991 0.0013 0.4999
Na 0.6654 0.3343 0.3332
O 0.3588 0.8527 0.5756
O 0.4939 0.3616 0.1380
O 0.1309 0.6383 0.3620
O 0.0290 0.8303 0.4099
O 0.8274 0.8026 0.5908
O 0.4643 0.3050 0.0287
O 0.6950 0.5357 0.5287
O 0.3590 0.5002 0.3596
O 0.8419 0.0313 0.0908
O 0.3095 0.4802 0.7569
O 0.1937 0.1663 0.8072
O 0.6354 0.4914 0.9241
Nb 0.6667 0.3306 0.1884
O 0.0284 0.2024 0.1953
P 0.3347 0.9530 0.9164
Nb 0.0027 0.0000 0.3551
O 0.8295 0.5202 0.7425
Si 0.6208 0.6666 0.9167
O 0.1606 0.6950 0.4713
O 0.5198 0.6905 0.2569
O 0.6922 0.5194 0.2422
O 0.8337 0.8063 0.3072
O 0.5271 0.8330 0.4738
O 0.9687 0.1581 0.5908
O 0.6923 0.1669 0.0263
O 0.4699 0.1676 0.5263
O 0.1465 0.5039 0.5759
O 0.1670 0.4729 0.9738
Na 0.3324 0.6680 0.1665
Nb 0.3281 0.6583 0.8114
O 0.3034 0.4707 0.4738
O 0.9761 0.8135 0.0903
O 0.1974 0.1726 0.0908
O 0.1959 0.0299 0.3071
O 0.1473 0.6412 0.0756
O 0.8272 0.0283 0.8047
O 0.4998 0.6410 0.8596
O 0.5004 0.1396 0.6405
O 0.1865 0.0239 0.5903
O 0.4798 0.1705 0.2425
Si 0.0465 0.3774 0.9171
O 0.8641 0.5059 0.4242
P 0.0014 0.2864 0.2497
Si 0.9541 0.3332 0.5834
O 0.3617 0.8691 0.8620
O 0.1657 0.1968 0.6930
O 0.8132 0.8372 0.9092
O 0.8139 0.9745 0.4089
O 0.7976 0.9716 0.6953
Si 0.9559 0.6201 0.0837
Nb 0.9948 0.9916 0.1447
O 0.1664 0.9744 0.1929
O 0.8531 0.3572 0.9236
P 0.7136 0.9986 0.7497
O 0.1753 0.6979 0.7575
O 0.4961 0.8535 0.0759
O 0.0256 0.8336 0.6929
O 0.1365 0.5009 0.8596
Si 0.2874 0.9999 0.2500
Nb 0.6694 0.3333 0.6884
Si 0.3799 0.0441 0.5837
O 0.6384 0.5061 0.6380
Na 0.6657 0.3346 0.8332
Nb 0.3360 0.6666 0.0218
Si 0.6226 0.9535 0.4171
O 0.5293 0.6966 0.9738
P 0.6680 0.6197 0.5830
P 0.3803 0.3320 0.0830
Nb 0.3417 0.6719 0.3114
Nb 0.6751 0.3385 0.9781
O 0.5308 0.8393 0.7575
O 0.6956 0.1637 0.7433
O 0.4991 0.8635 0.3596
O 0.0255 0.1861 0.9089
O 0.4806 0.3078 0.7422

## Properties
The calculation puts the total energy at -7.953 eV per atom.

[9]
Material: BaMg6C
Method: DFT, PBE-GGA
State: optimized geometry

Cell: 3.4668 8.1443 13.8963 Å, 90.00 90.00 90.00°
Sites, in units of the cell vectors:
Mg 0.5000 0.8296 0.4623
Ba 0.0000 0.0000 0.8483
Mg 0.0000 0.3286 0.1277
Mg 0.5000 0.0000 0.0853
Mg 0.0000 0.8286 0.6277
Mg 0.5000 0.3296 0.9623
Ba 0.0000 0.5000 0.3483
Mg 0.5000 0.5000 0.5853
Mg 0.0000 0.0000 0.2847
Mg 0.0000 0.5000 0.7847
Mg 0.5000 0.6704 0.9623
Mg 0.5000 0.1704 0.4623
Mg 0.0000 0.6714 0.1277
Mg 0.0000 0.1714 0.6277
C 0.5000 0.5000 0.1017
C 0.5000 0.0000 0.6017

## Properties
The calculation puts the total energy at -2.312 eV per atom.

Record-wise calculated formation energy values, in kcal/mol of atoms: -12.341, -15.067, -59.654, -31.385, -10.638, -64.513, -8.186, -69.485, 6.505